Entry 1:
Here is a relaxed structure of SiO2 from Materials Project. Energies are from GGA-PBE.

```
data_SiO2
_symmetry_space_group_name_H-M 'P 63/m c m'
_symmetry_Int_Tables_number 193
_symmetry_space_group_name_Hall '-P 6c 2'
_cell_length_a 13.7768
_cell_length_b 13.7768
_cell_length_c 9.0348
_cell_angle_alpha 90.00
_cell_angle_beta 90.00
_cell_angle_gamma 120.00
loop_
_atom_site_label
_atom_site_type_symbol
_atom_site_fract_x
_atom_site_fract_y
_atom_site_fract_z
Si1 Si 0.1305 0.4611 0.0736
O1 O 0.0000 0.3690 0.0417
O2 O 0.1543 0.4787 0.2500
O3 O 0.1622 0.5811 0.0000
O4 O 0.2078 0.4156 0.0000
```

Crystal system: hexagonal
Calculated formation energy (eV per atom): -3.26

***

Entry 2:
Here is a relaxed structure of Ca2Sb2S5 from Materials Project. Energies are from GGA-PBE.

```
data_Ca2Sb2S5
_symmetry_space_group_name_H-M 'P 1 21/c 1'
_symmetry_Int_Tables_number 14
_symmetry_space_group_name_Hall '-P 2ybc'
_cell_length_a 15.208
_cell_length_b 5.738
_cell_length_c 11.438
_cell_angle_alpha 90.00
_cell_angle_beta 110.85
_cell_angle_gamma 90.00
loop_
_atom_site_label
_atom_site_type_symbol
_atom_site_fract_x
_atom_site_fract_y
_atom_site_fract_z
Ca1 Ca 0.107 0.224 0.307
Ca2 Ca 0.334 0.233 0.168
Sb1 Sb 0.125 0.739 0.574
Sb2 Sb 0.384 0.655 0.947
S1 S 0.096 0.727 0.276
S2 S 0.121 0.197 0.064
S3 S 0.299 0.734 0.159
S4 S 0.305 0.225 0.404
S5 S 0.500 0.010 0.653
```

Crystal system: monoclinic
Calculated formation energy (eV per atom): -1.37

***

| no. | E_tot (eV/atom) |
| --- | --- |
| 1 | -7.91 |
| 2 | -4.75 |